Al2FeO4, relaxed, DFT PBE+U; excess energy over the best structure of this formula in the dataset = 15 kJ/mol of formula units; E (MP2020) = -7.989 eV/atom; ρ = 4114 kg/m3; final energy = -712.8 eV/cell
1.0
5.0641 -2.9047 0.0000
5.0641 2.9047 0.0000
-3.1372 0.0000 33.3846
Al Fe O
28 14 56
direct
0.0000 0.0000 0.0000
0.0001 0.0001 0.4997
0.0003 0.5001 0.4995
0.0704 0.5705 0.2139
0.1410 0.1410 0.4282
0.1445 0.6408 0.9292
0.1453 0.1453 0.9292
0.2142 0.7106 0.6415
0.2803 0.7811 0.3570
0.2806 0.2806 0.3564
0.2879 0.2879 0.8593
0.3554 0.8554 0.0712
0.4259 0.4259 0.2855
0.4276 0.4276 0.7854
0.5001 0.0003 0.4995
0.5672 0.5672 0.7114
0.5705 0.0704 0.2139
0.5706 0.5706 0.2143
0.6408 0.1445 0.9292
0.7097 0.7097 0.6415
0.7106 0.2142 0.6415
0.7130 0.7130 0.1426
0.7811 0.2803 0.3570
0.8554 0.3554 0.0712
0.8550 0.8550 0.5708
0.8557 0.8557 0.0714
0.9038 0.9038 0.7289
0.9513 0.9513 0.8418
0.0531 0.0531 0.1606
0.0871 0.0871 0.2676
0.1947 0.1947 0.5892
0.2304 0.2304 0.6972
0.3402 0.3402 0.0190
0.3735 0.3735 0.1250
0.4276 0.9276 0.7854
0.4814 0.4814 0.4457
0.5156 0.5156 0.5519
0.6246 0.6246 0.8735
0.6604 0.6604 0.9815
0.7636 0.7636 0.3032
0.8002 0.8002 0.4105
0.9276 0.4276 0.7854
0.0041 0.4504 0.8969
0.0119 0.0119 0.6088
0.0138 0.5784 0.6095
0.0314 0.0314 0.1001
0.1042 0.1042 0.3279
0.1191 0.1191 0.8287
0.1293 0.5985 0.8248
0.1346 0.6989 0.5332
0.1455 0.5829 0.3232
0.1564 0.1564 0.0375
0.1562 0.7209 0.0377
0.1754 0.1754 0.5290
0.2566 0.7259 0.7460
0.2663 0.2663 0.7569
0.2683 0.2683 0.2472
0.2689 0.7058 0.2476
0.2766 0.8411 0.9613
0.3001 0.3001 0.4659
0.3034 0.8627 0.4666
0.3193 0.3193 0.9586
0.3958 0.3958 0.1851
0.4046 0.8509 0.6738
0.4094 0.4094 0.6741
0.4184 0.9784 0.3900
0.4343 0.8713 0.1805
0.4457 0.4457 0.8967
0.4504 0.0041 0.8969
0.4555 0.4555 0.3857
0.5357 0.5357 0.6122
0.5521 0.9920 0.1043
0.5546 0.5546 0.1047
0.5784 0.0138 0.6095
0.5829 0.1455 0.3232
0.5831 0.5831 0.3237
0.5889 0.5889 0.8139
0.5985 0.1293 0.8248
0.6801 0.6801 0.0418
0.6989 0.1346 0.5332
0.6990 0.6990 0.5330
0.7058 0.2689 0.2476
0.7209 0.1562 0.0377
0.7259 0.2566 0.7460
0.7360 0.7360 0.7421
0.7466 0.7466 0.2429
0.8255 0.8255 0.4707
0.8411 0.2766 0.9613
0.8432 0.8432 0.9620
0.8509 0.4046 0.6738
0.8627 0.3034 0.4666
0.8713 0.4343 0.1805
0.8712 0.8712 0.1803
0.8902 0.8902 0.6743
0.9648 0.9648 0.8965
0.9784 0.4184 0.3900
0.9816 0.9816 0.3910
0.9920 0.5521 0.1043

LiMn3Al2H6O12, relaxed, DFT PBE+U; excess energy over the best structure of this formula in the dataset = 53 kJ/mol of formula units; E (MP2020) = -6.885 eV/atom; ρ = 3229 kg/m3; final energy = -304.0 eV/cell
1.0
5.9832 0.0000 0.0000
-1.6192 7.6651 0.0000
-1.4344 -0.9301 9.5032
Li Mn Al H O
2 6 4 12 24
direct
0.1578 0.1557 0.0005
0.8422 0.8443 0.9995
0.0862 0.3346 0.5038
0.2523 0.9994 0.5004
0.4161 0.6654 0.5001
0.5839 0.3346 0.4999
0.7477 0.0006 0.4996
0.9138 0.6654 0.4962
0.0000 0.5000 0.0000
0.3309 0.8378 0.9970
0.5000 0.5000 0.0000
0.6691 0.1622 0.0030
0.0750 0.9118 0.7902
0.1307 0.7355 0.2042
0.2212 0.5818 0.7868
0.2803 0.4232 0.2036
0.4093 0.2578 0.8005
0.4599 0.0692 0.2092
0.5401 0.9308 0.7908
0.5907 0.7422 0.1995
0.7197 0.5768 0.7964
0.7788 0.4182 0.2132
0.8693 0.2645 0.7958
0.9250 0.0882 0.2098
0.0022 0.0976 0.4026
0.0994 0.9158 0.8922
0.0999 0.7241 0.1009
0.1728 0.7627 0.3963
0.1862 0.5628 0.6097
0.2489 0.5920 0.8922
0.2528 0.4177 0.1006
0.3390 0.4328 0.3976
0.3541 0.2238 0.6074
0.4332 0.0574 0.1062
0.4391 0.2745 0.9042
0.4986 0.9000 0.6023
0.5014 0.1000 0.3977
0.5609 0.7255 0.0958
0.5668 0.9426 0.8938
0.6459 0.7762 0.3926
0.6610 0.5672 0.6024
0.7472 0.5823 0.8994
0.7511 0.4080 0.1078
0.8138 0.4372 0.3903
0.8272 0.2373 0.6037
0.9001 0.2759 0.8991
0.9006 0.0842 0.1078
0.9978 0.9024 0.5974

MgNi4O8, relaxed, DFT PBE+U; excess energy over the best structure of this formula in the dataset = 275 kJ/mol of formula units; E (MP2020) = -5.914 eV/atom; ρ = 3983 kg/m3; final energy = -61.2 eV/cell
1.0
7.3657 -1.4090 0.0000
7.3657 1.4090 0.0000
-6.8104 0.0000 7.7751
Mg Ni O
1 4 8
direct
0.0000 0.0000 0.0000
0.1567 0.1567 0.9598
0.3667 0.3667 0.6623
0.7139 0.7139 0.3436
0.7888 0.7888 0.8892
0.1771 0.1771 0.1945
0.1797 0.1797 0.7798
0.2097 0.2097 0.4612
0.4074 0.4074 0.0168
0.5391 0.5391 0.8866
0.7678 0.7678 0.0447
0.8400 0.8400 0.7544
0.8913 0.8913 0.5698

ZnMo4O9, relaxed, DFT PBE+U; E (MP2020) = -7.934 eV/atom; ρ = 5095 kg/m3; final energy = -184.2 eV/cell
1.0
8.8057 0.0000 0.0000
0.0000 8.8057 0.0000
0.0000 0.0000 4.9864
Zn Mo O
2 8 18
direct
0.2500 0.2500 0.1001
0.7500 0.7500 0.8999
0.0393 0.6530 0.3391
0.1530 0.9607 0.6609
0.3470 0.5393 0.6609
0.4607 0.8470 0.3391
0.5393 0.1530 0.6609
0.6530 0.4607 0.3391
0.8470 0.0393 0.3391
0.9607 0.3470 0.6609
0.0240 0.2997 0.0006
0.0429 0.1398 0.4940
0.1398 0.4571 0.4940
0.2003 0.0240 0.0006
0.2500 0.7500 0.5000
0.2997 0.4760 0.0006
0.3602 0.0429 0.4940
0.4571 0.3602 0.4940
0.4760 0.2003 0.0006
0.5240 0.7997 0.9994
0.5429 0.6398 0.5060
0.6398 0.9571 0.5060
0.7003 0.5240 0.9994
0.7500 0.2500 0.5000
0.7997 0.9760 0.9994
0.8602 0.5429 0.5060
0.9571 0.8602 0.5060
0.9760 0.7003 0.9994

KVBP2HO9, relaxed, DFT PBE+U; E (MP2020) = -7.659 eV/atom; ρ = 2837 kg/m3; final energy = -428.0 eV/cell
1.0
5.2463 0.0000 0.0000
0.9028 11.4765 0.0000
1.9479 0.2307 11.9689
K V B P H O
4 4 4 8 4 36
direct
0.2210 0.1432 0.4688
0.2217 0.6432 0.9685
0.7783 0.3568 0.0315
0.7790 0.8568 0.5312
0.2326 0.9453 0.7492
0.2335 0.4452 0.2496
0.7665 0.5548 0.7504
0.7674 0.0547 0.2508
0.3749 0.1610 0.8939
0.3761 0.6608 0.3932
0.6239 0.3392 0.6068
0.6251 0.8390 0.1061
0.2829 0.6885 0.6240
0.2835 0.1886 0.1248
0.3013 0.3894 0.8078
0.3027 0.8893 0.3072
0.6973 0.1107 0.6928
0.6987 0.6106 0.1922
0.7165 0.8114 0.8752
0.7171 0.3115 0.3760
0.0296 0.0814 0.9149
0.0312 0.5806 0.4149
0.9688 0.4194 0.5851
0.9704 0.9186 0.0851
0.0111 0.6421 0.6360
0.0119 0.1420 0.1369
0.0523 0.4691 0.8246
0.0539 0.9691 0.3243
0.2056 0.0689 0.8746
0.2063 0.5689 0.3736
0.2308 0.2758 0.8767
0.2323 0.7757 0.3761
0.2579 0.3233 0.1284
0.2578 0.8232 0.6273
0.3755 0.3561 0.6817
0.3766 0.8561 0.1811
0.4403 0.6344 0.7106
0.4423 0.1350 0.2110
0.4418 0.1551 0.0067
0.4417 0.6544 0.5061
0.4730 0.0567 0.6501
0.4747 0.5561 0.1498
0.5253 0.4439 0.8502
0.5270 0.9433 0.3499
0.5583 0.3456 0.4939
0.5582 0.8449 0.9933
0.5577 0.8650 0.7890
0.5597 0.3656 0.2894
0.6234 0.1439 0.8189
0.6245 0.6439 0.3183
0.7422 0.1768 0.3727
0.7421 0.6767 0.8716
0.7677 0.2243 0.6239
0.7692 0.7242 0.1233
0.7937 0.4311 0.6264
0.7944 0.9311 0.1254
0.9461 0.0309 0.6757
0.9477 0.5309 0.1754
0.9881 0.8580 0.8631
0.9889 0.3579 0.3640

Li2Mn3SbO8, relaxed, DFT PBE+U; excess energy over the best structure of this formula in the dataset = 37 kJ/mol of formula units; E (MP2020) = -7.443 eV/atom; ρ = 4434 kg/m3; final energy = -187.4 eV/cell
1.0
1.3727 5.7847 -0.8707
5.6780 3.0821 8.6962
5.4492 1.5239 -2.0222
Li Mn Sb O
4 6 2 16
direct
0.4356 0.6933 0.4356
0.9356 0.1933 0.9356
0.0644 0.8067 0.0644
0.5644 0.3067 0.5644
0.5000 0.0000 0.4999
0.4999 0.0000 0.0001
0.0001 0.0000 0.4999
0.0000 0.5000 0.0000
0.0000 0.5000 0.5000
0.5000 0.5000 0.0000
0.2500 0.2500 0.2500
0.7500 0.7500 0.7500
0.3629 0.9113 0.3629
0.8629 0.4113 0.8629
0.1370 0.5887 0.1371
0.6371 0.0887 0.6371
0.5962 0.1282 0.1378
0.0962 0.6281 0.6379
0.1379 0.1282 0.5962
0.6379 0.6282 0.0962
0.1379 0.1282 0.1378
0.6379 0.6281 0.6379
0.3621 0.3719 0.3621
0.8622 0.8719 0.8621
0.3621 0.3719 0.9038
0.8622 0.8718 0.4038
0.9038 0.3718 0.3621
0.4038 0.8718 0.8621

LiVCO3F2, relaxed, DFT PBE+U; E (MP2020) = -7.338 eV/atom; ρ = 3018 kg/m3; final energy = -216.1 eV/cell
1.0
5.7147 0.0000 0.0000
0.0000 6.6677 0.0000
0.0000 0.0000 9.0055
Li V C O F
4 4 4 12 8
direct
0.2184 0.2500 0.2269
0.2816 0.7500 0.7269
0.7184 0.2500 0.2731
0.7816 0.7500 0.7731
0.0244 0.2500 0.6106
0.4756 0.7500 0.1106
0.5244 0.2500 0.8894
0.9756 0.7500 0.3894
0.0378 0.7500 0.0495
0.4622 0.2500 0.5495
0.5378 0.7500 0.4505
0.9622 0.2500 0.9505
0.1297 0.7500 0.1837
0.1801 0.2500 0.9790
0.1964 0.7500 0.9478
0.3036 0.2500 0.4478
0.3199 0.7500 0.4790
0.3703 0.2500 0.6837
0.6297 0.7500 0.3163
0.6801 0.2500 0.5210
0.6964 0.7500 0.5522
0.8036 0.2500 0.0522
0.8199 0.7500 0.0210
0.8703 0.2500 0.8163
0.0449 0.5362 0.6566
0.0449 0.9638 0.6566
0.4551 0.0362 0.1566
0.4551 0.4638 0.1566
0.5449 0.5362 0.8434
0.5449 0.9638 0.8434
0.9551 0.0362 0.3434
0.9551 0.4638 0.3434

Ba3In2WO9, relaxed, DFT PBE+U; excess energy over the best structure of this formula in the dataset = 0 kJ/mol of formula units; E (MP2020) = -7.194 eV/atom; ρ = 7098 kg/m3; final energy = -194.6 eV/cell
1.0
-2.9873 4.2293 8.9753
2.9873 -4.2293 8.9753
2.9873 4.2293 -8.9753
Ba In W O
6 4 2 18
direct
0.0802 0.3389 0.7413
0.2343 0.0000 0.2343
0.4024 0.6611 0.7413
0.5976 0.3389 0.2587
0.7657 0.0000 0.7657
0.9198 0.6611 0.2587
0.0000 0.5000 0.5000
0.1693 0.1693 0.0000
0.5000 0.5000 0.0000
0.8307 0.8307 0.0000
0.3325 0.8325 0.5000
0.6675 0.1675 0.5000
0.0870 0.3377 0.2507
0.0870 0.8363 0.7493
0.0979 0.8297 0.2682
0.2554 0.5187 0.2633
0.2554 0.9921 0.7367
0.2585 0.5000 0.7585
0.4092 0.1393 0.7302
0.4092 0.6790 0.2698
0.4386 0.1703 0.2682
0.5614 0.8297 0.7318
0.5908 0.3210 0.7302
0.5908 0.8607 0.2698
0.7415 0.5000 0.2415
0.7446 0.0079 0.2633
0.7446 0.4813 0.7367
0.9021 0.1703 0.7318
0.9130 0.1637 0.2507
0.9130 0.6623 0.7493

- Which value of ρ does entry 4 give?
  5095 kg/m3

- Which value of ρ does entry 7 give?
  3018 kg/m3

- ρ of number 5 (KVBP2HO9)?
  2837 kg/m3